Record 1
## KC2 (GGA-PBE)

Data for a relaxed structure of KC2.

Results
Crystal system: tetragonal
Relative energy among the computed polymorphs in meV per atom: 0
M_tot in Bohr magnetons per cell: 1.00
Electronic total energy in eV/atom: -5.237
Theoretical density in kg/m3: 1465

Cell: 4.3821 4.3821 4.8456 Å, 116.88 116.88 90.00°
Closest atoms and distances in Å follow each position.
Atoms (fractional coordinates):
1 C 0.8349 0.3349 0.6699  1 C 1.27
2 K 0.2500 0.7500 0.5000  10 C 3.09-3.16
3 C 0.6651 0.1651 0.3301  1 C 1.27

***

Record 2
## K3Nb3Ge2O13 (GGA-PBE)

Data for a relaxed structure of K3Nb3Ge2O13.

Results
Crystal system: hexagonal
Energy with MP2020 corrections in eV/cell: -324.68
M_tot in Bohr magnetons per cell: 0.00
Electronic total energy in eV/atom: -7.305
Theoretical density in kg/m3: 4069

Cell: 9.4337 9.4337 7.9341 Å, 90.00 90.00 120.00°
Closest atoms and distances in Å follow each position.
Atoms (fractional coordinates):
1 O 0.6667 0.3333 0.0000  2 Ge 1.77
2 O 0.0000 0.8282 0.2278  2 Nb 1.98
3 O 0.7294 0.7294 0.0000  2 Nb 2.03
4 Ge 0.3333 0.6667 0.2228  4 O 1.74-1.77
5 K 0.6149 0.0000 0.0000  4 O 2.70-2.93
6 O 0.8282 0.0000 0.7722  2 Nb 1.98
7 O 0.7870 0.7870 0.5000  2 Nb 1.98
8 O 0.2973 0.8225 0.7125  1 Ge 1.74
9 O 0.8225 0.2973 0.7125  1 Ge 1.74
10 O 0.8282 0.0000 0.2278  2 Nb 1.98
11 K 0.3998 0.3998 0.5000  12 O 3.00-3.27
12 O 0.1775 0.4749 0.7125  1 Ge 1.74
13 O 0.1775 0.4749 0.2875  1 Ge 1.74
14 Ge 0.6667 0.3333 0.2228  4 O 1.74-1.77
15 O 0.1718 0.1718 0.7722  2 Nb 1.98
16 O 0.7027 0.5251 0.7125  1 Ge 1.74
17 O 0.2973 0.8225 0.2875  1 Ge 1.74
18 O 0.2130 0.0000 0.5000  2 Nb 1.98
19 O 0.4749 0.1775 0.7125  1 Ge 1.74
20 Ge 0.6667 0.3333 0.7772  4 O 1.74-1.77
21 O 0.5251 0.7027 0.2875  1 Ge 1.74
22 Nb 0.7677 0.7677 0.2513  6 O 1.98-2.07
23 O 0.2706 0.0000 0.0000  2 Nb 2.03
24 K 0.0000 0.6149 0.0000  4 O 2.70-2.93
25 K 0.6002 0.0000 0.5000  12 O 3.00-3.27
26 Nb 0.0000 0.2323 0.7487  6 O 1.98-2.07
27 Nb 0.2323 0.0000 0.7487  6 O 1.98-2.07
28 K 0.3851 0.3851 0.0000  4 O 2.70-2.93
29 O 0.7027 0.5251 0.2875  1 Ge 1.74
30 Nb 0.0000 0.2323 0.2513  6 O 1.98-2.07
31 Nb 0.2323 0.0000 0.2513  6 O 1.98-2.07
32 Nb 0.7677 0.7677 0.7487  6 O 1.98-2.07
33 O 0.1718 0.1718 0.2278  2 Nb 1.98
34 K 0.0000 0.6002 0.5000  12 O 3.00-3.27
35 O 0.0000 0.2706 0.0000  2 Nb 2.03
36 Ge 0.3333 0.6667 0.7772  4 O 1.74-1.77
37 O 0.4749 0.1775 0.2875  1 Ge 1.74
38 O 0.5251 0.7027 0.7125  1 Ge 1.74
39 O 0.3333 0.6667 0.0000  2 Ge 1.77
40 O 0.0000 0.2130 0.5000  2 Nb 1.98
41 O 0.8225 0.2973 0.2875  1 Ge 1.74
42 O 0.0000 0.8282 0.7722  2 Nb 1.98

***

- Which formula does entry 1 have?
  KC2

***

- The lowest theoretical density belongs to which entry?
  KC2

***

Copy entry 2 word for word.
## K3Nb3Ge2O13 (GGA-PBE)

Data for a relaxed structure of K3Nb3Ge2O13.

Results
Crystal system: hexagonal
Energy with MP2020 corrections in eV/cell: -324.68
M_tot in Bohr magnetons per cell: 0.00
Electronic total energy in eV/atom: -7.305
Theoretical density in kg/m3: 4069

Cell: 9.4337 9.4337 7.9341 Å, 90.00 90.00 120.00°
Closest atoms and distances in Å follow each position.
Atoms (fractional coordinates):
1 O 0.6667 0.3333 0.0000  2 Ge 1.77
2 O 0.0000 0.8282 0.2278  2 Nb 1.98
3 O 0.7294 0.7294 0.0000  2 Nb 2.03
4 Ge 0.3333 0.6667 0.2228  4 O 1.74-1.77
5 K 0.6149 0.0000 0.0000  4 O 2.70-2.93
6 O 0.8282 0.0000 0.7722  2 Nb 1.98
7 O 0.7870 0.7870 0.5000  2 Nb 1.98
8 O 0.2973 0.8225 0.7125  1 Ge 1.74
9 O 0.8225 0.2973 0.7125  1 Ge 1.74
10 O 0.8282 0.0000 0.2278  2 Nb 1.98
11 K 0.3998 0.3998 0.5000  12 O 3.00-3.27
12 O 0.1775 0.4749 0.7125  1 Ge 1.74
13 O 0.1775 0.4749 0.2875  1 Ge 1.74
14 Ge 0.6667 0.3333 0.2228  4 O 1.74-1.77
15 O 0.1718 0.1718 0.7722  2 Nb 1.98
16 O 0.7027 0.5251 0.7125  1 Ge 1.74
17 O 0.2973 0.8225 0.2875  1 Ge 1.74
18 O 0.2130 0.0000 0.5000  2 Nb 1.98
19 O 0.4749 0.1775 0.7125  1 Ge 1.74
20 Ge 0.6667 0.3333 0.7772  4 O 1.74-1.77
21 O 0.5251 0.7027 0.2875  1 Ge 1.74
22 Nb 0.7677 0.7677 0.2513  6 O 1.98-2.07
23 O 0.2706 0.0000 0.0000  2 Nb 2.03
24 K 0.0000 0.6149 0.0000  4 O 2.70-2.93
25 K 0.6002 0.0000 0.5000  12 O 3.00-3.27
26 Nb 0.0000 0.2323 0.7487  6 O 1.98-2.07
27 Nb 0.2323 0.0000 0.7487  6 O 1.98-2.07
28 K 0.3851 0.3851 0.0000  4 O 2.70-2.93
29 O 0.7027 0.5251 0.2875  1 Ge 1.74
30 Nb 0.0000 0.2323 0.2513  6 O 1.98-2.07
31 Nb 0.2323 0.0000 0.2513  6 O 1.98-2.07
32 Nb 0.7677 0.7677 0.7487  6 O 1.98-2.07
33 O 0.1718 0.1718 0.2278  2 Nb 1.98
34 K 0.0000 0.6002 0.5000  12 O 3.00-3.27
35 O 0.0000 0.2706 0.0000  2 Nb 2.03
36 Ge 0.3333 0.6667 0.7772  4 O 1.74-1.77
37 O 0.4749 0.1775 0.2875  1 Ge 1.74
38 O 0.5251 0.7027 0.7125  1 Ge 1.74
39 O 0.3333 0.6667 0.0000  2 Ge 1.77
40 O 0.0000 0.2130 0.5000  2 Nb 1.98
41 O 0.8225 0.2973 0.2875  1 Ge 1.74
42 O 0.0000 0.8282 0.7722  2 Nb 1.98